# Na6Ca4Y4SiS11O48 GGA-PBE relaxed
# - energy of formation from the pure elements (eV/atom) = -2.589
# - total energy after the MP2020 corrections (eV/cell) = -1565.556
data_Na6Ca4Y4SiS11O48
_cell_length_a 9.243
_cell_length_b 16.010
_cell_length_c 24.268
_cell_angle_alpha 89.99
_cell_angle_beta 89.98
_cell_angle_gamma 89.96
_symmetry_space_group_name_H-M 'P 1'
_symmetry_Int_Tables_number 1
loop_
_symmetry_equiv_pos_as_xyz
'x,y,z'
loop_
_atom_site_label
_atom_site_type_symbol
_atom_site_fract_x
_atom_site_fract_y
_atom_site_fract_z
Na1 Na 0.000 0.000 0.000
Na2 Na 0.000 0.003 0.493
Na3 Na 0.007 0.676 0.168
Na4 Na 0.017 0.334 0.835
Na5 Na 0.140 0.492 0.750
Na6 Na 0.165 0.818 0.748
Na7 Na 0.190 0.192 0.747
Na8 Na 0.326 0.319 0.246
Na9 Na 0.496 0.172 0.661
Na10 Na 0.499 0.502 0.000
Na11 Na 0.499 0.834 0.329
Na12 Na 0.500 0.498 0.497
Na13 Na 0.513 0.167 0.170
Na14 Na 0.531 0.834 0.835
Na15 Na 0.667 0.317 0.745
Na16 Na 0.857 0.494 0.253
Na17 Na 0.974 0.326 0.334
Na18 Na 0.980 0.675 0.664
Ca1 Ca 0.000 0.332 0.482
Ca2 Ca 0.000 0.332 0.983
Ca3 Ca 0.000 0.665 0.515
Ca4 Ca 0.002 0.673 0.318
Ca5 Ca 0.006 0.333 0.677
Ca6 Ca 0.498 0.833 0.181
Ca7 Ca 0.499 0.168 0.515
Ca8 Ca 0.499 0.833 0.984
Ca9 Ca 0.501 0.165 0.817
Ca10 Ca 0.987 0.329 0.181
Ca11 Ca 0.987 0.671 0.816
Ca12 Ca 0.999 0.998 0.350
Y1 Y 0.000 0.999 0.150
Y2 Y 0.494 0.497 0.851
Y3 Y 0.497 0.166 0.016
Y4 Y 0.497 0.494 0.647
Y5 Y 0.499 0.833 0.480
Y6 Y 0.501 0.495 0.149
Y7 Y 0.505 0.498 0.351
Y8 Y 0.510 0.165 0.316
Y9 Y 0.517 0.834 0.684
Y10 Y 0.988 0.994 0.851
Y11 Y 0.993 0.995 0.646
Y12 Y 0.999 0.667 0.016
Si1 Si 0.349 0.350 0.750
Si2 Si 0.648 0.350 0.250
Si3 Si 0.853 0.849 0.749
S1 S 0.147 0.518 0.914
S2 S 0.149 0.485 0.583
S3 S 0.149 0.851 0.249
S4 S 0.151 0.148 0.250
S5 S 0.151 0.181 0.584
S6 S 0.151 0.815 0.915
S7 S 0.200 0.166 0.914
S8 S 0.204 0.500 0.249
S9 S 0.206 0.832 0.584
S10 S 0.290 0.999 0.749
S11 S 0.299 0.333 0.083
S12 S 0.300 0.666 0.416
S13 S 0.349 0.315 0.414
S14 S 0.349 0.683 0.082
S15 S 0.349 0.983 0.082
S16 S 0.351 0.017 0.417
S17 S 0.352 0.647 0.749
S18 S 0.646 0.982 0.582
S19 S 0.647 0.017 0.916
S20 S 0.647 0.684 0.582
S21 S 0.648 0.647 0.249
S22 S 0.651 0.315 0.915
S23 S 0.699 0.666 0.917
S24 S 0.700 0.332 0.584
S25 S 0.703 0.998 0.249
S26 S 0.794 0.498 0.749
S27 S 0.799 0.166 0.417
S28 S 0.799 0.833 0.082
S29 S 0.849 0.181 0.081
S30 S 0.849 0.817 0.417
S31 S 0.851 0.484 0.083
S32 S 0.851 0.517 0.414
S33 S 0.854 0.147 0.749
O1 O 0.079 0.767 0.250
O2 O 0.081 0.900 0.913
O3 O 0.082 0.096 0.587
O4 O 0.083 0.569 0.579
O5 O 0.084 0.433 0.920
O6 O 0.087 0.771 0.963
O7 O 0.089 0.108 0.299
O8 O 0.089 0.225 0.536
O9 O 0.090 0.895 0.199
O10 O 0.095 0.235 0.244
O11 O 0.095 0.556 0.862
O12 O 0.096 0.448 0.636
O13 O 0.100 0.572 0.253
O14 O 0.108 0.241 0.920
O15 O 0.109 0.089 0.913
O16 O 0.109 0.571 0.963
O17 O 0.113 0.758 0.580
O18 O 0.115 0.899 0.299
O19 O 0.116 0.432 0.536
O20 O 0.117 0.098 0.199
O21 O 0.117 0.910 0.586
O22 O 0.119 0.421 0.244
O23 O 0.121 0.769 0.863
O24 O 0.122 0.227 0.636
O25 O 0.172 0.342 0.747
O26 O 0.187 0.674 0.076
O27 O 0.188 0.993 0.088
O28 O 0.190 0.323 0.417
O29 O 0.192 0.007 0.412
O30 O 0.192 0.649 0.754
O31 O 0.198 0.013 0.699
O32 O 0.199 0.987 0.799
O33 O 0.204 0.341 0.035
O34 O 0.210 0.657 0.466
O35 O 0.212 0.677 0.366
O36 O 0.217 0.323 0.135
O37 O 0.285 0.174 0.863
O38 O 0.294 0.513 0.199
O39 O 0.294 0.826 0.636
O40 O 0.296 0.492 0.298
O41 O 0.299 0.158 0.963
O42 O 0.304 0.840 0.536
O43 O 0.308 0.842 0.244
O44 O 0.309 0.825 0.921
O45 O 0.310 0.512 0.914
O46 O 0.311 0.172 0.579
O47 O 0.311 0.494 0.587
O48 O 0.313 0.155 0.254
O49 O 0.375 0.920 0.742
O50 O 0.375 0.933 0.032
O51 O 0.376 0.732 0.132
O52 O 0.384 0.066 0.466
O53 O 0.384 0.266 0.363
O54 O 0.384 0.411 0.803
O55 O 0.385 0.072 0.754
O56 O 0.388 0.596 0.699
O57 O 0.393 0.409 0.085
O58 O 0.395 0.591 0.412
O59 O 0.395 0.742 0.422
O60 O 0.396 0.258 0.076
O61 O 0.404 0.735 0.743
O62 O 0.409 0.722 0.032
O63 O 0.411 0.274 0.463
O64 O 0.411 0.945 0.132
O65 O 0.412 0.057 0.366
O66 O 0.414 0.069 0.076
O67 O 0.414 0.597 0.087
O68 O 0.415 0.400 0.410
O69 O 0.419 0.610 0.799
O70 O 0.420 0.932 0.421
O71 O 0.424 0.397 0.697
O72 O 0.425 0.257 0.752
O73 O 0.564 0.259 0.255
O74 O 0.571 0.394 0.195
O75 O 0.578 0.601 0.586
O76 O 0.580 0.065 0.578
O77 O 0.581 0.400 0.913
O78 O 0.584 0.933 0.921
O79 O 0.587 0.271 0.963
O80 O 0.587 0.607 0.299
O81 O 0.587 0.727 0.533
O82 O 0.587 0.732 0.244
O83 O 0.589 0.939 0.632
O84 O 0.593 0.057 0.866
O85 O 0.604 0.258 0.580
O86 O 0.606 0.741 0.922
O87 O 0.608 0.410 0.585
O88 O 0.608 0.589 0.914
O89 O 0.610 0.075 0.252
O90 O 0.610 0.411 0.302
O91 O 0.610 0.923 0.244
O92 O 0.611 0.069 0.966
O93 O 0.613 0.735 0.632
O94 O 0.613 0.930 0.532
O95 O 0.614 0.595 0.200
O96 O 0.621 0.269 0.863
O97 O 0.676 0.839 0.745
O98 O 0.687 0.825 0.423
O99 O 0.688 0.171 0.075
O100 O 0.688 0.510 0.412
O101 O 0.690 0.495 0.086
O102 O 0.695 0.157 0.754
O103 O 0.701 0.491 0.799
O104 O 0.704 0.512 0.699
O105 O 0.705 0.173 0.366
O106 O 0.708 0.157 0.466
O107 O 0.711 0.821 0.132
O108 O 0.712 0.844 0.032
O109 O 0.782 0.325 0.637
O110 O 0.787 0.674 0.866
O111 O 0.793 0.990 0.299
O112 O 0.795 0.657 0.966
O113 O 0.796 0.008 0.199
O114 O 0.797 0.340 0.536
O115 O 0.806 0.677 0.579
O116 O 0.806 0.989 0.585
O117 O 0.809 0.325 0.921
O118 O 0.810 0.012 0.915
O119 O 0.810 0.648 0.253
O120 O 0.824 0.348 0.246
O121 O 0.874 0.230 0.131
O122 O 0.875 0.767 0.367
O123 O 0.877 0.418 0.745
O124 O 0.882 0.432 0.034
O125 O 0.886 0.568 0.463
O126 O 0.887 0.098 0.699
O127 O 0.888 0.905 0.804
O128 O 0.890 0.242 0.419
O129 O 0.892 0.090 0.412
O130 O 0.896 0.758 0.077
O131 O 0.896 0.908 0.088
O132 O 0.899 0.568 0.754
O133 O 0.904 0.556 0.362
O134 O 0.908 0.774 0.467
O135 O 0.909 0.448 0.134
O136 O 0.911 0.220 0.032
O137 O 0.914 0.901 0.413
O138 O 0.915 0.095 0.087
O139 O 0.915 0.432 0.419
O140 O 0.917 0.569 0.076
O141 O 0.919 0.107 0.798
O142 O 0.921 0.232 0.744
O143 O 0.923 0.898 0.696
O144 O 0.939 0.759 0.750

# Mg14ZnMo GGA-PBE relaxed
# - excess energy over the best structure of this formula in the dataset (eV per atom) = 0.000
# - energy of formation from the pure elements (eV/atom) = 0.089
data_Mg14ZnMo
_cell_length_a 6.2708
_cell_length_b 6.2708
_cell_length_c 9.8752
_cell_angle_alpha 90.00
_cell_angle_beta 90.00
_cell_angle_gamma 120.00
_symmetry_space_group_name_H-M 'P -6 m 2'
_symmetry_Int_Tables_number 187
_symmetry_space_group_name_Hall 'P -6 2'
loop_
_atom_site_label
_atom_site_type_symbol
_atom_site_fract_x
_atom_site_fract_y
_atom_site_fract_z
Mg1 Mg 0.0000 0.0000 0.2490
Mg2 Mg 0.0142 0.5071 0.2463
Mg3 Mg 0.3333 0.1667 0.5000
Mg4 Mg 0.3351 0.1676 0.0000
Zn1 Zn 0.3333 0.6667 0.5000
Mo1 Mo 0.3333 0.6667 0.0000

# MgTi2O4 GGA-PBE relaxed
# - excess energy over the best structure of this formula in the dataset (eV per atom) = 0.001
# - energy of formation from the pure elements (eV/atom) = -3.221
# - total energy after the MP2020 corrections (eV/cell) = -238.911
data_MgTi2O4
_cell_length_a 6.066
_cell_length_b 6.066
_cell_length_c 8.481
_cell_angle_alpha 90.00
_cell_angle_beta 90.00
_cell_angle_gamma 90.00
_symmetry_space_group_name_H-M 'P 41 21 2'
_symmetry_Int_Tables_number 92
loop_
_symmetry_equiv_pos_as_xyz
'x,y,z'
'-y+1/2,x+1/2,z+1/4'
'-x,-y,z+1/2'
'y+1/2,-x+1/2,z+3/4'
'x+1/2,-y+1/2,-z+3/4'
'-y,-x,-z+1/2'
'-x+1/2,y+1/2,-z+1/4'
'y,x,-z'
loop_
_atom_site_label
_atom_site_type_symbol
_atom_site_fract_x
_atom_site_fract_y
_atom_site_fract_z
Mg1 Mg 0.245 0.245 0.000
Ti1 Ti 0.009 0.249 0.380
O1 O 0.015 0.256 0.621
O2 O 0.022 0.755 0.633

# U2Ge3Rh3 GGA-PBE relaxed
# - energy of formation from the pure elements (eV/atom) = 0.400
data_U2Ge3Rh3
_cell_length_a 2.747
_cell_length_b 2.747
_cell_length_c 20.577
_cell_angle_alpha 90.00
_cell_angle_beta 90.00
_cell_angle_gamma 90.00
_symmetry_space_group_name_H-M 'P 4/m m m'
_symmetry_Int_Tables_number 123
_symmetry_space_group_name_Hall '-P 4 2'
loop_
_atom_site_label
_atom_site_type_symbol
_atom_site_fract_x
_atom_site_fract_y
_atom_site_fract_z
U1 U 0.000 0.000 0.242
Ge1 Ge 0.000 0.000 0.000
Ge2 Ge 0.000 0.000 0.384
Rh1 Rh 0.000 0.000 0.124
Rh2 Rh 0.000 0.000 0.500

# Y5Tl3 GGA-PBE relaxed
# - energy of formation from the pure elements (eV/atom) = -0.352
data_Y5Tl3
_cell_length_a 9.0210
_cell_length_b 9.0210
_cell_length_c 6.7543
_cell_angle_alpha 90.00
_cell_angle_beta 90.00
_cell_angle_gamma 120.00
_symmetry_space_group_name_H-M 'P 63/m c m'
_symmetry_Int_Tables_number 193
_symmetry_space_group_name_Hall '-P 6c 2'
loop_
_atom_site_label
_atom_site_type_symbol
_atom_site_fract_x
_atom_site_fract_y
_atom_site_fract_z
Y1 Y 0.0000 0.2355 0.2500
Y2 Y 0.3333 0.6667 0.0000
Tl1 Tl 0.0000 0.4043 0.7500

# Ba4MgTl8O16 GGA-PBE relaxed
# - excess energy over the best structure of this formula in the dataset (eV per atom) = 0.032
# - energy of formation from the pure elements (eV/atom) = -1.657
# - total energy after the MP2020 corrections (eV/cell) = -155.400
data_Ba4MgTl8O16
_cell_length_a 11.175
_cell_length_b 3.558
_cell_length_c 12.214
_cell_angle_alpha 90.00
_cell_angle_beta 92.95
_cell_angle_gamma 90.00
_symmetry_space_group_name_H-M 'P 1 m 1'
_symmetry_Int_Tables_number 6
loop_
_symmetry_equiv_pos_as_xyz
'x,y,z'
'x,-y,z'
loop_
_atom_site_label
_atom_site_type_symbol
_atom_site_fract_x
_atom_site_fract_y
_atom_site_fract_z
Ba1 Ba 0.000 0.000 0.000
Ba2 Ba 0.007 0.500 0.474
Ba3 Ba 0.488 0.000 0.216
Ba4 Ba 0.508 0.500 0.684
Mg1 Mg 0.544 0.000 0.967
Tl1 Tl 0.170 0.500 0.235
Tl2 Tl 0.187 0.500 0.721
Tl3 Tl 0.290 0.000 0.950
Tl4 Tl 0.331 0.000 0.452
Tl5 Tl 0.681 0.500 0.450
Tl6 Tl 0.728 0.500 0.924
Tl7 Tl 0.814 0.000 0.228
Tl8 Tl 0.862 0.000 0.708
O1 O 0.058 0.000 0.654
O2 O 0.137 0.000 0.359
O3 O 0.159 0.500 0.904
O4 O 0.217 0.000 0.121
O5 O 0.287 0.500 0.561
O6 O 0.332 0.000 0.773
O7 O 0.363 0.500 0.324
O8 O 0.479 0.500 0.013
O9 O 0.544 0.000 0.500
O10 O 0.622 0.000 0.826
O11 O 0.665 0.500 0.267
O12 O 0.718 0.000 0.046
O13 O 0.771 0.500 0.622
O14 O 0.831 0.000 0.412
O15 O 0.898 0.500 0.850
O16 O 0.942 0.500 0.172

# AgBiSe2 GGA-PBE relaxed
# - energy of formation from the pure elements (eV/atom) = 0.104
# - total energy after the MP2020 corrections (eV/cell) = -26.594
data_AgBiSe2
_cell_length_a 12.883
_cell_length_b 5.369
_cell_length_c 5.585
_cell_angle_alpha 90.00
_cell_angle_beta 108.28
_cell_angle_gamma 90.00
_symmetry_space_group_name_H-M 'C 1 2/m 1'
_symmetry_Int_Tables_number 12
loop_
_symmetry_equiv_pos_as_xyz
'x,y,z'
'-x,-y,-z'
'-x,y,-z'
'x,-y,z'
'x+1/2,y+1/2,z'
'-x+1/2,-y+1/2,-z'
'-x+1/2,y+1/2,-z'
'x+1/2,-y+1/2,z'
loop_
_atom_site_label
_atom_site_type_symbol
_atom_site_fract_x
_atom_site_fract_y
_atom_site_fract_z
Ag1 Ag 0.000 0.000 0.000
Bi1 Bi 0.000 0.000 0.500
Se1 Se 0.081 0.500 0.682

# Tl2SnTe3 GGA-PBE relaxed
# - energy of formation from the pure elements (eV/atom) = -0.472
# - total energy after the MP2020 corrections (eV/cell) = -167.989
data_Tl2SnTe3
_cell_length_a 8.639
_cell_length_b 22.647
_cell_length_c 8.797
_cell_angle_alpha 90.00
_cell_angle_beta 90.00
_cell_angle_gamma 90.00
_symmetry_space_group_name_H-M 'P n m a'
_symmetry_Int_Tables_number 62
loop_
_symmetry_equiv_pos_as_xyz
'x,y,z'
'-x,-y,-z'
'-x+1/2,-y,z+1/2'
'x+1/2,y,-z+1/2'
'x+1/2,-y+1/2,-z+1/2'
'-x+1/2,y+1/2,z+1/2'
'-x,y+1/2,-z'
'x,-y+1/2,z'
loop_
_atom_site_label
_atom_site_type_symbol
_atom_site_fract_x
_atom_site_fract_y
_atom_site_fract_z
Tl1 Tl 0.201 0.168 0.012
Tl2 Tl 0.236 0.010 0.966
Sn1 Sn 0.197 0.165 0.505
Te1 Te 0.020 0.090 0.321
Te2 Te 0.022 0.250 0.675
Te3 Te 0.098 0.603 0.190
Te4 Te 0.133 0.750 0.830

# Zr2Sn GGA-PBE relaxed
# - energy of formation from the pure elements (eV/atom) = -0.242
data_Zr2Sn
_cell_length_a 5.345
_cell_length_b 9.689
_cell_length_c 5.345
_cell_angle_alpha 90.00
_cell_angle_beta 90.00
_cell_angle_gamma 90.00
_symmetry_space_group_name_H-M 'P m m n'
_symmetry_Int_Tables_number 59
loop_
_symmetry_equiv_pos_as_xyz
'x,y,z'
'-x,-y,-z'
'-x+1/2,-y+1/2,z'
'x+1/2,y+1/2,-z'
'x+1/2,-y,-z'
'-x+1/2,y,z'
'-x,y+1/2,-z'
'x,-y+1/2,z'
loop_
_atom_site_label
_atom_site_type_symbol
_atom_site_fract_x
_atom_site_fract_y
_atom_site_fract_z
Zr1 Zr 0.250 0.073 0.085
Zr2 Zr 0.250 0.250 0.590
Zr3 Zr 0.250 0.750 0.045
Sn1 Sn 0.250 0.581 0.570

Asked for E_tot across the records above, the calculation gives -6.61; -2.07; -8.14; -6.92; -5.28; -4.98; -3.09; -3.29; -7.28 eV per atom in order.